[1]
CaHfTiSnO6 | PBE | optimized geometry

Summary:
* DFT formation energy: -3.146 eV/atom
* symmetry: F-43m (216)
* uncorrected energy: -80.89 eV/cell

```
10
Lattice="-3.828 2.875 3.066 -5.481 -1.498 -0.169 -2.422 -2.435 4.530" Properties=species:S:1:pos:R:3 pbc="T T T"
Ca -2.933 -0.265 1.857
Hf 0.000 0.000 0.000
Ti -5.866 -0.529 3.713
Sn -8.798 -0.794 5.570
O -4.872 1.130 3.398
O -6.859 -2.188 4.029
O -6.053 -0.057 5.605
O -5.678 -1.001 1.821
O -7.544 0.400 3.315
O -4.187 -1.458 4.111
```

---

[2]
AlHO2 | PBE | optimized geometry

Summary:
* maximum piezoelectric response: 1.41 C/m²
* DFT formation energy: -2.646 eV/atom
* symmetry: Cmc2_1 (36)
* uncorrected energy: -52.49 eV/cell

```
8
Lattice="-0.537 6.193 -0.988 0.223 -5.116 3.660 3.707 0.367 0.288" Properties=species:S:1:pos:R:3 pbc="T T T"
Al 2.761 -1.237 2.394
Al 0.632 2.681 0.565
H 1.570 6.147 -0.722
H 0.441 -4.840 3.574
O 2.462 3.186 0.576
O 0.927 -1.742 2.383
O 2.325 5.571 -0.401
O 1.110 -4.123 3.364
```

---

[3]
CaBr | PBE | optimized geometry

Summary:
* DFT formation energy: -1.510 eV/atom
* symmetry: P6_3mc (186)
* uncorrected energy: -12.26 eV/cell

```
4
Lattice="0.326 3.932 1.055 -0.486 -1.028 -3.923 -9.601 0.512 1.055" Properties=species:S:1:pos:R:3 pbc="T T T"
Ca -8.015 2.709 0.283
Ca -3.485 0.799 -1.904
Br -5.076 2.552 -0.040
Br -0.546 0.643 -2.227
```

---

[4]
Tl2HgGeTe4 | PBE | optimized geometry

Summary:
* DFT formation energy: -0.403 eV/atom
* symmetry: I-42m (121)
* uncorrected energy: -23.76 eV/cell

```
8
Lattice="-4.299 4.299 3.604 4.299 -4.299 3.604 4.299 4.299 -3.604" Properties=species:S:1:pos:R:3 pbc="T T T"
Tl 0.000 4.299 0.000
Tl 4.299 0.000 0.000
Hg 0.000 0.000 3.604
Ge 0.000 0.000 0.000
Te -1.499 1.499 5.602
Te 2.800 2.800 -1.999
Te 1.499 1.499 1.605
Te 1.499 -1.499 5.602
```